# 1
# Mg3Bi2As2O12 PBE optimized geometry
# * mass density: 5.0 Mg/m³
# * final energy: -0.2133 hartree per atom
# * ΔH_f (0 K): -1.96 eV per atom
data_Mg3Bi2As2O12
_chemical_formula_sum 'Mg3 Bi2 As2 O12'
_symmetry_space_group_name_H-M 'P 1 m 1'
_symmetry_Int_Tables_number 6
_symmetry_space_group_name_Hall 'P -2y'
_cell_length_a 7.392
_cell_length_b 5.482
_cell_length_c 7.535
_cell_angle_alpha 90.00
_cell_angle_beta 115.17
_cell_angle_gamma 90.00
loop_
_atom_site_label
_atom_site_type_symbol
_atom_site_fract_x
_atom_site_fract_y
_atom_site_fract_z
Mg1 Mg 0.000 0.000 0.000
Mg2 Mg 0.170 0.500 0.806
Mg3 Mg 0.556 0.500 0.196
Bi1 Bi 0.681 0.500 0.687
Bi2 Bi 0.871 0.000 0.508
As1 As 0.077 0.500 0.293
As2 As 0.476 0.000 0.903
O1 O 0.156 0.255 0.204
O2 O 0.184 0.500 0.545
O3 O 0.368 0.000 0.651
O4 O 0.394 0.260 0.976
O5 O 0.623 0.267 0.428
O6 O 0.730 0.000 0.005
O7 O 0.822 0.500 0.197
O8 O 0.947 0.249 0.769

***

# 2
# Ni18Bi3AsS16 PBE optimized geometry
# * mass density: 6.6 Mg/m³
# * final energy: -0.1933 hartree per atom
# * ΔH_f (0 K): -0.56 eV per atom
data_Ni18Bi3AsS16
_chemical_formula_sum 'Ni36 Bi6 As2 S32'
_symmetry_space_group_name_H-M 'I 4/m m m'
_symmetry_Int_Tables_number 139
_symmetry_space_group_name_Hall '-I 4 2'
_cell_length_a 10.271
_cell_length_b 10.271
_cell_length_c 10.824
_cell_angle_alpha 90.00
_cell_angle_beta 90.00
_cell_angle_gamma 90.00
loop_
_atom_site_label
_atom_site_type_symbol
_atom_site_fract_x
_atom_site_fract_y
_atom_site_fract_z
Ni1 Ni 0.000 0.500 0.000
Ni2 Ni 0.143 0.143 0.121
Ni3 Ni 0.172 0.172 0.374
Bi1 Bi 0.000 0.000 0.500
Bi2 Bi 0.000 0.500 0.250
As1 As 0.000 0.000 0.000
S1 S 0.000 0.227 0.259
S2 S 0.152 0.336 0.000

***

# 3
# Bi3As4O16 PBE optimized geometry
# * mass density: 4.9 Mg/m³
# * final energy: -0.2089 hartree per atom
# * ΔH_f (0 K): -1.40 eV per atom
data_Bi3As4O16
_chemical_formula_sum 'Bi6 As8 O32'
_symmetry_space_group_name_H-M 'P 1 21/c 1'
_symmetry_Int_Tables_number 14
_symmetry_space_group_name_Hall '-P 2ybc'
_cell_length_a 9.108
_cell_length_b 5.600
_cell_length_c 16.582
_cell_angle_alpha 90.00
_cell_angle_beta 108.13
_cell_angle_gamma 90.00
loop_
_atom_site_label
_atom_site_type_symbol
_atom_site_fract_x
_atom_site_fract_y
_atom_site_fract_z
Bi1 Bi 0.000 0.000 0.000
Bi2 Bi 0.316 0.037 0.624
As1 As 0.066 0.048 0.390
As2 As 0.451 0.027 0.858
O1 O 0.018 0.746 0.896
O2 O 0.105 0.702 0.104
O3 O 0.125 0.133 0.309
O4 O 0.185 0.176 0.487
O5 O 0.331 0.526 0.255
O6 O 0.363 0.075 0.138
O7 O 0.378 0.622 0.424
O8 O 0.481 0.166 0.378

***

# 4
# Bi3As2O10 PBE optimized geometry
# * mass density: 7.1 Mg/m³
# * final energy: -0.2164 hartree per atom
# * ΔH_f (0 K): -1.65 eV per atom
data_Bi3As2O10
_chemical_formula_sum 'Bi6 As4 O20'
_symmetry_space_group_name_H-M 'P -1'
_symmetry_Int_Tables_number 2
_symmetry_space_group_name_Hall '-P 1'
_cell_length_a 7.053
_cell_length_b 7.369
_cell_length_c 9.558
_cell_angle_alpha 110.37
_cell_angle_beta 106.79
_cell_angle_gamma 91.91
loop_
_atom_site_label
_atom_site_type_symbol
_atom_site_fract_x
_atom_site_fract_y
_atom_site_fract_z
Bi1 Bi 0.206 0.334 0.424
Bi2 Bi 0.228 0.090 0.978
Bi3 Bi 0.268 0.743 0.200
As1 As 0.227 0.479 0.803
As2 As 0.307 0.874 0.596
O1 O 0.044 0.467 0.631
O2 O 0.102 0.970 0.128
O3 O 0.115 0.872 0.671
O4 O 0.122 0.344 0.885
O5 O 0.200 0.334 0.186
O6 O 0.262 0.963 0.446
O7 O 0.316 0.708 0.950
O8 O 0.390 0.651 0.524
O9 O 0.411 0.385 0.728
O10 O 0.499 0.016 0.764

***

# 5
# Bi12AsO20 PBE optimized geometry
# * mass density: 8.6 Mg/m³
# * final energy: -0.2124 hartree per atom
# * ΔH_f (0 K): -1.64 eV per atom
data_Bi12AsO20
_chemical_formula_sum 'Bi24 As2 O40'
_symmetry_space_group_name_H-M 'I 2 3'
_symmetry_Int_Tables_number 197
_symmetry_space_group_name_Hall 'I 2 2 3'
_cell_length_a 10.380
_cell_length_b 10.380
_cell_length_c 10.380
_cell_angle_alpha 90.00
_cell_angle_beta 90.00
_cell_angle_gamma 90.00
loop_
_atom_site_label
_atom_site_type_symbol
_atom_site_fract_x
_atom_site_fract_y
_atom_site_fract_z
Bi1 Bi 0.022 0.176 0.324
As1 As 0.000 0.000 0.000
O1 O 0.008 0.368 0.748
O2 O 0.097 0.097 0.903
O3 O 0.197 0.197 0.197

***

# 6
# Bi6As4PbO20 PBE optimized geometry
# * mass density: 7.3 Mg/m³
# * final energy: -0.2200 hartree per atom
# * ΔH_f (0 K): -1.76 eV per atom
data_Bi6As4PbO20
_chemical_formula_sum 'Bi6 As4 Pb1 O20'
_symmetry_space_group_name_H-M 'P -1'
_symmetry_Int_Tables_number 2
_symmetry_space_group_name_Hall '-P 1'
_cell_length_a 7.201
_cell_length_b 7.994
_cell_length_c 9.507
_cell_angle_alpha 106.76
_cell_angle_beta 93.78
_cell_angle_gamma 111.98
loop_
_atom_site_label
_atom_site_type_symbol
_atom_site_fract_x
_atom_site_fract_y
_atom_site_fract_z
Bi1 Bi 0.060 0.201 0.415
Bi2 Bi 0.164 0.878 0.985
Bi3 Bi 0.302 0.293 0.824
As1 As 0.151 0.598 0.243
As2 As 0.453 0.727 0.741
Pb1 Pb 0.500 0.000 0.500
O1 O 0.040 0.387 0.867
O2 O 0.052 0.029 0.864
O3 O 0.128 0.366 0.190
O4 O 0.148 0.682 0.431
O5 O 0.167 0.093 0.601
O6 O 0.272 0.823 0.745
O7 O 0.349 0.480 0.663
O8 O 0.369 0.169 0.356
O9 O 0.383 0.749 0.220
O10 O 0.438 0.200 0.072

***

# 7
# UBi4As2O16 PBE optimized geometry
# * mass density: 6.5 Mg/m³
# * final energy: -0.2349 hartree per atom
# * ΔH_f (0 K): -1.85 eV per atom
# * E above lowest polymorph: 0.0 meV/atom
data_UBi4As2O16
_chemical_formula_sum 'U1 Bi4 As2 O16'
_symmetry_space_group_name_H-M 'P -1'
_symmetry_Int_Tables_number 2
_symmetry_space_group_name_Hall '-P 1'
_cell_length_a 5.598
_cell_length_b 6.705
_cell_length_c 10.977
_cell_angle_alpha 75.49
_cell_angle_beta 78.84
_cell_angle_gamma 71.97
loop_
_atom_site_label
_atom_site_type_symbol
_atom_site_fract_x
_atom_site_fract_y
_atom_site_fract_z
U1 U 0.000 0.000 0.000
Bi1 Bi 0.003 0.405 0.676
Bi2 Bi 0.413 0.771 0.542
As1 As 0.372 0.070 0.226
O1 O 0.160 0.731 0.086
O2 O 0.173 0.143 0.113
O3 O 0.179 0.651 0.691
O4 O 0.259 0.500 0.482
O5 O 0.276 0.096 0.566
O6 O 0.284 0.870 0.346
O7 O 0.323 0.033 0.840
O8 O 0.356 0.288 0.288

***

# 8
# UBi4As2O16 PBE optimized geometry
# * mass density: 6.3 Mg/m³
# * final energy: -0.2341 hartree per atom
# * ΔH_f (0 K): -1.83 eV per atom
# * E above lowest polymorph: 20.8 meV/atom
data_UBi4As2O16
_chemical_formula_sum 'U4 Bi16 As8 O64'
_symmetry_space_group_name_H-M 'P b c m'
_symmetry_Int_Tables_number 57
_symmetry_space_group_name_Hall '-P 2c 2b'
_cell_length_a 5.695
_cell_length_b 12.654
_cell_length_c 21.691
_cell_angle_alpha 90.00
_cell_angle_beta 90.00
_cell_angle_gamma 90.00
loop_
_atom_site_label
_atom_site_type_symbol
_atom_site_fract_x
_atom_site_fract_y
_atom_site_fract_z
U1 U 0.249 0.028 0.250
Bi1 Bi 0.143 0.609 0.523
Bi2 Bi 0.383 0.232 0.089
As1 As 0.228 0.512 0.133
O1 O 0.000 0.072 0.170
O2 O 0.052 0.250 0.000
O3 O 0.133 0.605 0.750
O4 O 0.149 0.107 0.598
O5 O 0.161 0.058 0.034
O6 O 0.326 0.595 0.073
O7 O 0.331 0.654 0.601
O8 O 0.340 0.166 0.250
O9 O 0.459 0.750 0.000
O10 O 0.462 0.008 0.680

***

# 9
# BiAsPd6 PBE optimized geometry
# * mass density: 11.3 Mg/m³
# * final energy: -0.1904 hartree per atom
# * ΔH_f (0 K): -0.23 eV per atom
data_BiAsPd6
_chemical_formula_sum 'Bi3 As3 Pd18'
_symmetry_space_group_name_H-M 'R -3 m'
_symmetry_Int_Tables_number 166
_symmetry_space_group_name_Hall '-R 3 2"'
_cell_length_a 4.5717
_cell_length_b 4.5717
_cell_length_c 22.4282
_cell_angle_alpha 90.00
_cell_angle_beta 90.00
_cell_angle_gamma 120.00
loop_
_atom_site_label
_atom_site_type_symbol
_atom_site_fract_x
_atom_site_fract_y
_atom_site_fract_z
Bi1 Bi 0.0000 0.0000 0.0000
As1 As 0.0000 0.0000 0.5000
Pd1 Pd 0.0000 0.0000 0.1329
Pd2 Pd 0.0000 0.0000 0.2544
Pd3 Pd 0.0000 0.0000 0.3855

***

# 10
# Sr3BiAs PBE optimized geometry
# * mass density: 3.8 Mg/m³
# * final energy: -0.1114 hartree per atom
# * ΔH_f (0 K): -0.31 eV per atom
# * E above lowest polymorph: 569.3 meV/atom
data_Sr3BiAs
_chemical_formula_sum 'Sr3 Bi1 As1'
_symmetry_space_group_name_H-M 'P m -3 m'
_symmetry_Int_Tables_number 221
_symmetry_space_group_name_Hall '-P 4 2 3'
_cell_length_a 6.197
_cell_length_b 6.197
_cell_length_c 6.197
_cell_angle_alpha 90.00
_cell_angle_beta 90.00
_cell_angle_gamma 90.00
loop_
_atom_site_label
_atom_site_type_symbol
_atom_site_fract_x
_atom_site_fract_y
_atom_site_fract_z
Sr1 Sr 0.000 0.000 0.500
Bi1 Bi 0.000 0.000 0.000
As1 As 0.500 0.500 0.500

***

# 11
# Sr3BiAs PBE optimized geometry
# * mass density: 4.5 Mg/m³
# * final energy: -0.1323 hartree per atom
# * ΔH_f (0 K): -0.88 eV per atom
# * E above lowest polymorph: 0.0 meV/atom
data_Sr3BiAs
_chemical_formula_sum 'Sr3 Bi1 As1'
_symmetry_space_group_name_H-M 'P m -3 m'
_symmetry_Int_Tables_number 221
_symmetry_space_group_name_Hall '-P 4 2 3'
_cell_length_a 5.880
_cell_length_b 5.880
_cell_length_c 5.880
_cell_angle_alpha 90.00
_cell_angle_beta 90.00
_cell_angle_gamma 90.00
loop_
_atom_site_label
_atom_site_type_symbol
_atom_site_fract_x
_atom_site_fract_y
_atom_site_fract_z
Sr1 Sr 0.000 0.000 0.500
Bi1 Bi 0.500 0.500 0.500
As1 As 0.000 0.000 0.000